Entry 1:
Li2Si2NiO6 (PBE+U, optimized geometry); polymorph energy (0 for the lowest one) = 0.002 eV/atom; space group = P1, No. 1; M_tot = 0.00 μB/atom
1.0
4.025 2.016 2.374
8.213 -3.339 -5.674
-2.154 9.128 -3.953
O Si Li Ni
24 8 8 4
Direct
0.991 0.330 0.882 O
0.485 0.224 0.244 O
0.458 0.277 0.007 O
0.013 0.724 0.229 O
0.355 0.484 0.890 O
0.457 0.279 0.508 O
0.182 0.831 0.035 O
0.356 0.484 0.389 O
0.764 0.672 0.495 O
0.990 0.331 0.381 O
0.046 0.984 0.294 O
0.487 0.777 0.242 O
0.762 0.670 0.995 O
0.780 0.517 0.178 O
0.484 0.224 0.744 O
0.589 0.017 0.023 O
0.070 0.171 0.092 O
0.589 0.018 0.522 O
0.015 0.724 0.729 O
0.184 0.831 0.535 O
0.777 0.518 0.678 O
0.070 0.171 0.591 O
0.488 0.778 0.742 O
0.045 0.984 0.795 O
0.176 0.836 0.697 Si
0.761 0.666 0.655 Si
0.394 0.166 0.088 Si
0.175 0.836 0.197 Si
0.309 0.336 0.881 Si
0.393 0.166 0.588 Si
0.308 0.336 0.380 Si
0.760 0.665 0.154 Si
0.818 0.337 0.063 Li
0.538 0.837 0.952 Li
0.125 0.665 0.409 Li
0.904 0.165 0.769 Li
0.124 0.665 0.909 Li
0.904 0.165 0.269 Li
0.539 0.837 0.452 Li
0.817 0.337 0.562 Li
0.727 0.500 0.864 Ni
0.978 0.001 0.489 Ni
0.978 0.001 0.989 Ni
0.728 0.501 0.364 Ni

Entry 2:
Li2SiNiO4 (PBE+U, optimized geometry); polymorph energy (0 for the lowest one) = 0.011 eV/atom; space group = P2_1/c, No. 14; M_tot = 0.25 μB/atom
1.0
-7.445 7.575 1.375
-3.549 -3.187 -1.660
-4.391 -5.105 4.348
Ni Li O Si
4 8 16 4
Direct
0.336 0.806 0.000 Ni
0.836 0.194 0.500 Ni
0.664 0.194 0.000 Ni
0.164 0.806 0.500 Ni
0.922 0.536 0.759 Li
0.337 0.313 0.495 Li
0.078 0.464 0.241 Li
0.422 0.464 0.741 Li
0.578 0.536 0.259 Li
0.837 0.687 0.005 Li
0.663 0.687 0.505 Li
0.163 0.313 0.995 Li
0.913 0.610 0.253 O
0.161 0.752 0.956 O
0.587 0.610 0.753 O
0.558 0.946 0.254 O
0.840 0.826 0.470 O
0.087 0.390 0.747 O
0.839 0.248 0.044 O
0.661 0.248 0.544 O
0.442 0.054 0.746 O
0.942 0.946 0.754 O
0.339 0.752 0.456 O
0.413 0.390 0.247 O
0.058 0.054 0.246 O
0.160 0.174 0.530 O
0.340 0.174 0.030 O
0.660 0.826 0.970 O
0.086 0.065 0.746 Si
0.414 0.065 0.246 Si
0.914 0.935 0.254 Si
0.586 0.935 0.754 Si

Entry 3:
Li2Si2NiO6 (PBE+U, optimized geometry); polymorph energy (0 for the lowest one) = 0.056 eV/atom; space group = P2_1, No. 4
1.0
4.727 0.000 0.000
0.000 5.401 0.000
0.000 0.352 9.593
O Ni Si Li
12 2 4 4
Direct
0.799 0.203 0.506 O
0.312 0.341 0.938 O
0.880 0.154 0.783 O
0.868 0.724 0.328 O
0.380 0.846 0.217 O
0.278 0.396 0.316 O
0.315 0.861 0.834 O
0.815 0.139 0.166 O
0.299 0.797 0.494 O
0.812 0.659 0.062 O
0.778 0.604 0.684 O
0.368 0.276 0.672 O
0.110 0.372 0.113 Ni
0.610 0.628 0.887 Ni
0.225 0.145 0.819 Si
0.725 0.855 0.181 Si
0.720 0.314 0.654 Si
0.220 0.686 0.346 Si
0.202 0.159 0.477 Li
0.702 0.841 0.523 Li
0.187 0.674 0.677 Li
0.687 0.326 0.323 Li

Entry 4:
Li2SiNiO4 (PBE+U, optimized geometry); polymorph energy (0 for the lowest one) = 0.012 eV/atom; space group = Pna2_1, No. 33; M_tot = 0.25 μB/atom
1.0
5.021 0.000 0.000
0.000 6.403 0.000
0.000 0.000 10.676
O Si Li Ni
16 4 8 4
Direct
0.291 0.657 0.341 O
0.859 0.866 0.414 O
0.141 0.366 0.586 O
0.209 0.657 0.841 O
0.791 0.157 0.159 O
0.705 0.367 0.439 O
0.359 0.366 0.086 O
0.795 0.581 0.158 O
0.295 0.081 0.342 O
0.295 0.867 0.561 O
0.205 0.867 0.061 O
0.705 0.581 0.658 O
0.641 0.866 0.914 O
0.205 0.081 0.842 O
0.709 0.157 0.659 O
0.795 0.367 0.939 O
0.188 0.869 0.415 Si
0.812 0.369 0.585 Si
0.312 0.869 0.915 Si
0.688 0.369 0.085 Si
0.193 0.119 0.163 Li
0.707 0.869 0.580 Li
0.807 0.619 0.837 Li
0.293 0.369 0.420 Li
0.207 0.369 0.920 Li
0.693 0.619 0.337 Li
0.307 0.119 0.663 Li
0.793 0.869 0.080 Li
0.193 0.614 0.165 Ni
0.807 0.114 0.835 Ni
0.693 0.114 0.335 Ni
0.307 0.614 0.665 Ni

Entry 5:
Li4Si3NiO9 (PBE+U, optimized geometry); space group = C2, No. 5; M_tot = 0.12 μB/atom
1.0
-4.291 3.124 3.302
-2.144 -5.790 -0.977
4.085 -3.125 8.559
O Li Si Ni
18 8 6 2
Direct
0.575 0.310 0.225 O
0.714 0.970 0.408 O
0.503 0.031 0.642 O
0.355 0.645 0.500 O
0.748 0.895 0.120 O
0.324 0.880 0.175 O
0.969 0.497 0.358 O
0.955 0.690 0.584 O
0.690 0.425 0.775 O
0.791 0.860 0.793 O
0.948 0.494 0.064 O
0.030 0.286 0.592 O
0.506 0.052 0.936 O
0.120 0.676 0.825 O
0.105 0.252 0.880 O
0.395 0.605 0.000 O
0.140 0.209 0.207 O
0.310 0.045 0.416 O
0.560 0.440 0.500 Li
0.626 0.374 0.000 Li
0.991 0.009 0.500 Li
0.809 0.622 0.210 Li
0.186 0.539 0.213 Li
0.378 0.191 0.790 Li
0.461 0.814 0.787 Li
0.001 0.999 0.000 Li
0.128 0.490 0.947 Si
0.485 0.928 0.494 Si
0.882 0.663 0.747 Si
0.072 0.515 0.506 Si
0.510 0.872 0.053 Si
0.337 0.118 0.253 Si
0.815 0.170 0.751 Ni
0.830 0.185 0.249 Ni

Entry 6:
Li4Si2NiO7 (PBE+U, optimized geometry); polymorph energy (0 for the lowest one) = 0.000 eV/atom; space group = Cc, No. 9; M_tot = 0.14 μB/atom
1.0
2.730 6.647 0.000
-2.730 6.647 0.000
0.000 0.773 7.983
Li O Ni Si
8 14 2 4
Direct
0.425 0.130 0.053 Li
0.881 0.535 0.904 Li
0.535 0.881 0.404 Li
0.191 0.816 0.478 Li
0.130 0.425 0.553 Li
0.734 0.418 0.624 Li
0.418 0.734 0.124 Li
0.816 0.191 0.978 Li
0.333 0.573 0.295 O
0.081 0.701 0.665 O
0.526 0.142 0.485 O
0.840 0.216 0.398 O
0.792 0.428 0.094 O
0.573 0.333 0.795 O
0.701 0.081 0.165 O
0.917 0.536 0.353 O
0.142 0.526 0.985 O
0.428 0.792 0.594 O
0.216 0.840 0.898 O
0.536 0.917 0.853 O
0.280 0.045 0.227 O
0.045 0.280 0.727 O
0.693 0.015 0.703 Ni
0.015 0.693 0.203 Ni
0.306 0.967 0.759 Si
0.593 0.256 0.332 Si
0.967 0.306 0.259 Si
0.256 0.593 0.832 Si

These records have E_form values of -2655; -2440; -2601; -2439; -2678; -2624 meV per atom, in the order they appear.
These records have V values of 513; 344; 245; 343; 371; 290 Å³ per cell, in the order they appear.
These records have energy values of -6.6070; -6.1310; -6.5533; -6.1298; -6.5304; -6.3060 eV per atom, in the order they appear.